VASP calculation (PBE) on a geometry-optimized CrGa4 structure.

a b c (Å): 4.9130 4.9130 4.9130
angles (deg): 109.47 109.47 109.47
With the nearest neighbours (Å) after each atom.
Element x y z (fractional)
Cr (0.0000, 0.0000, 0.0000)  8 Ga 2.46
Ga (0.0000, 0.0000, 0.5000)  2 Cr 2.46
Ga (0.0000, 0.5000, 0.0000)  2 Cr 2.46
Ga (0.5000, 0.0000, 0.0000)  2 Cr 2.46
Ga (0.5000, 0.5000, 0.5000)  2 Cr 2.46

density: 6.02 Mg/m³
energy relative to the elements: -0.156 eV per atom